Below is a geometry-optimized FeP2CO8 structure, with properties calculated at the PBE+U level.

Values from the calculation:
For the excess energy over the best structure of this formula in the dataset, the calculation gives 0.0000 eV/atom. The value obtained for the size of the total moment is 0.458 μB/atom.

Cell: 8.4717 9.8138 10.6937 Å, 113.59 93.24 95.90°
Sites, in units of the cell vectors:
Fe 0.2263 0.0905 0.1005
Fe 0.2564 0.1336 0.6015
Fe 0.7436 0.8664 0.3985
Fe 0.7737 0.9095 0.8995
P 0.0886 0.3044 0.2677
P 0.0913 0.9922 0.3120
P 0.4138 0.0145 0.8214
P 0.4894 0.6576 0.2828
P 0.5106 0.3424 0.7172
P 0.5862 0.9855 0.1786
P 0.9087 0.0078 0.6880
P 0.9114 0.6956 0.7323
C 0.0903 0.2033 0.3857
C 0.4797 0.7818 0.0621
C 0.5203 0.2182 0.9379
C 0.9097 0.7967 0.6143
O 0.0056 0.5884 0.0851
O 0.0230 0.1794 0.1220
O 0.0274 0.4513 0.3193
O 0.0706 0.0872 0.6824
O 0.1369 0.2659 0.5100
O 0.1417 0.9426 0.1662
O 0.2223 0.9848 0.4142
O 0.2329 0.6489 0.6521
O 0.2733 0.2919 0.2578
O 0.2768 0.0322 0.9094
O 0.3476 0.5613 0.1953
O 0.3507 0.3274 0.7744
O 0.3800 0.0122 0.6820
O 0.4292 0.6793 0.9656
O 0.4591 0.0704 0.1562
O 0.4937 0.2302 0.5695
O 0.5063 0.7698 0.4305
O 0.5409 0.9296 0.8438
O 0.5708 0.3207 0.0344
O 0.6200 0.9878 0.3180
O 0.6493 0.6726 0.2256
O 0.6524 0.4387 0.8047
O 0.7232 0.9678 0.0906
O 0.7267 0.7081 0.7422
O 0.7671 0.3511 0.3479
O 0.7777 0.0152 0.5858
O 0.8583 0.0574 0.8338
O 0.8631 0.7341 0.4900
O 0.9294 0.9128 0.3176
O 0.9726 0.5487 0.6807
O 0.9770 0.8206 0.8780
O 0.9944 0.4116 0.9149

Below is a geometry-optimized LiCr2O4 structure, with properties calculated at the PBE+U level.

Values from the calculation:
For the excess energy over the best structure of this formula in the dataset, the calculation gives 0.0653 eV/atom. The value obtained for the size of the total moment is 0.714 μB/atom.

Cell: 5.9444 5.9444 5.9444 Å, 120.89 119.29 89.84°
Sites, in units of the cell vectors:
Li 0.0000 0.0000 0.0000
Li 0.5000 0.0000 0.5000
Cr 0.0000 0.5000 0.5000
Cr 0.5000 0.0000 0.0000
Cr 0.5000 0.5000 0.0000
Cr 0.5000 0.5000 0.5000
O 0.2692 0.2861 0.5169
O 0.2692 0.7523 0.9831
O 0.2768 0.7410 0.5358
O 0.2948 0.2590 0.0358
O 0.7052 0.7410 0.9642
O 0.7232 0.2590 0.4642
O 0.7308 0.2477 0.0169
O 0.7308 0.7139 0.4831

Below is a geometry-optimized Li6Mn3NbP6O24 structure, with properties calculated at the PBE+U level.

Values from the calculation:
The value obtained for the size of the total moment is 0.350 μB/atom.

Cell: 8.7855 8.8464 8.8629 Å, 60.14 89.71 60.84°
Sites, in units of the cell vectors:
Li 0.0000 0.0000 0.0000
Li 0.1370 0.0399 0.3033
Li 0.3262 0.1280 0.5813
Li 0.5192 0.9365 0.1104
Li 0.6612 0.1223 0.7408
Li 0.8518 0.6056 0.9130
Mn 0.0168 0.7878 0.4196
Mn 0.5058 0.7765 0.9241
Mn 0.7989 0.3849 0.6186
Nb 0.3163 0.3802 0.1196
P 0.1124 0.8862 0.7135
P 0.2061 0.2792 0.8197
P 0.4086 0.5943 0.3245
P 0.6229 0.8842 0.5158
P 0.7255 0.2876 0.0167
P 0.9147 0.5963 0.2221
O 0.0530 0.2408 0.8278
O 0.0694 0.4553 0.1676
O 0.0799 0.9095 0.5303
O 0.1518 0.4928 0.6582
O 0.1963 0.6475 0.8777
O 0.2362 0.7599 0.3354
O 0.2609 0.9286 0.7247
O 0.2634 0.2489 0.0108
O 0.3427 0.5037 0.2426
O 0.3903 0.1056 0.8290
O 0.4288 0.0928 0.3636
O 0.4690 0.7228 0.1777
O 0.5565 0.4088 0.5064
O 0.5598 0.2874 0.0903
O 0.6125 0.8981 0.6841
O 0.6308 0.6989 0.5388
O 0.6954 0.4997 0.9501
O 0.7234 0.2450 0.8692
O 0.7457 0.7524 0.0472
O 0.7791 0.9039 0.4535
O 0.8992 0.4452 0.3946
O 0.9110 0.1109 0.1687
O 0.9399 0.0187 0.7452
O 0.9642 0.7327 0.2419

Formation enthalpy at 0 K for every record listed, in sequence, given in eV/atom: -1.51 -2.19 -2.63.